The following is a DFT calculation (PBE) of crystalline Sr5Mn2N6 at its relaxed geometry.

POSCAR file:
```
Sr5Mn2N6
1.0
5.141 -3.314 0.000
5.141 3.314 0.000
-2.793 0.000 13.125
Sr Mn N
10 4 12
Direct
0.117 0.883 0.750
0.171 0.697 0.004
0.250 0.433 0.280
0.303 0.829 0.496
0.433 0.250 0.780
0.567 0.750 0.220
0.697 0.171 0.504
0.750 0.567 0.720
0.829 0.303 0.996
0.883 0.117 0.250
0.142 0.406 0.569
0.406 0.142 0.069
0.594 0.858 0.931
0.858 0.594 0.431
0.106 0.197 0.640
0.147 0.293 0.432
0.197 0.106 0.140
0.293 0.147 0.932
0.390 0.487 0.625
0.487 0.390 0.125
0.513 0.610 0.875
0.610 0.513 0.375
0.707 0.853 0.068
0.803 0.894 0.860
0.853 0.707 0.568
0.894 0.803 0.360
```

## Properties
* SG: C2/c
* total energy after the MP2020 corrections: -6.77 eV per atom